# LaCeB12, relaxed, DFT GGA-PBE
data_LaCeB12
_symmetry_space_group_name_H-M 'P 4/m m m'
_symmetry_Int_Tables_number 123
_symmetry_space_group_name_Hall '-P 4 2'
_cell_length_a 4.1463
_cell_length_b 4.1463
_cell_length_c 8.2956
_cell_angle_alpha 90.00
_cell_angle_beta 90.00
_cell_angle_gamma 90.00
loop_
_atom_site_label
_atom_site_type_symbol
_atom_site_fract_x
_atom_site_fract_y
_atom_site_fract_z
La1 La 0.0000 0.0000 0.0000
Ce1 Ce 0.0000 0.0000 0.5000
B1 B 0.1991 0.5000 0.2507
B2 B 0.5000 0.5000 0.1000
B3 B 0.5000 0.5000 0.4009
# Electronic total energy: -7.04 eV per atom
# Density: 4.8 g/cm3
# ΔE_f: -537 meV/atom

=====

# LaCeB4Rh6, relaxed, DFT GGA-PBE
data_LaCeB4Rh6
_symmetry_space_group_name_H-M 'P m m m'
_symmetry_Int_Tables_number 47
_cell_length_a 3.1218
_cell_length_b 5.5310
_cell_length_c 9.5813
_cell_angle_alpha 90.00
_cell_angle_beta 90.00
_cell_angle_gamma 90.00
loop_
_symmetry_equiv_pos_as_xyz
'x,y,z'
'-x,-y,-z'
'-x,-y,z'
'x,y,-z'
'x,-y,-z'
'-x,y,z'
'-x,y,-z'
'x,-y,z'
loop_
_atom_site_label
_atom_site_type_symbol
_atom_site_fract_x
_atom_site_fract_y
_atom_site_fract_z
La1 La 0.0000 0.0000 0.0000
Ce1 Ce 0.0000 0.5000 0.5000
B1 B 0.0000 0.0000 0.3343
B2 B 0.0000 0.5000 0.1674
Rh1 Rh 0.5000 0.0000 0.5000
Rh2 Rh 0.5000 0.2519 0.2526
Rh3 Rh 0.5000 0.5000 0.0000
# Electronic total energy: -7.48 eV per atom
# Total magnetization: 0.74 μB per formula unit
# Density: 9.4 g/cm3
# ΔE_f: -667 meV/atom

=====

# CeMg6B, relaxed, DFT GGA-PBE
data_CeMg6B
_symmetry_space_group_name_H-M 'A m m 2'
_symmetry_Int_Tables_number 38
_cell_length_a 4.7438
_cell_length_b 5.6597
_cell_length_c 13.1113
_cell_angle_alpha 90.00
_cell_angle_beta 90.00
_cell_angle_gamma 90.00
loop_
_symmetry_equiv_pos_as_xyz
'x,y,z'
'-x,-y,z'
'-x,y,z'
'x,-y,z'
'x,y+1/2,z+1/2'
'-x,-y+1/2,z+1/2'
'-x,y+1/2,z+1/2'
'x,-y+1/2,z+1/2'
loop_
_atom_site_label
_atom_site_type_symbol
_atom_site_fract_x
_atom_site_fract_y
_atom_site_fract_z
Ce1 Ce 0.0000 0.0000 0.0000
Mg1 Mg 0.0000 0.2498 0.2534
Mg2 Mg 0.5000 0.0000 0.1609
Mg3 Mg 0.5000 0.0000 0.5957
Mg4 Mg 0.5000 0.2413 0.3860
B1 B 0.0000 0.0000 0.4201
# Offset from the most stable computed form: 0.49 eV/f.u.
# Electronic total energy: -2.50 eV per atom
# Total magnetization: 0.78 μB per formula unit
# Density: 2.8 g/cm3
# ΔE_f: 273 meV/atom

=====

# CeMg6B, relaxed, DFT GGA-PBE
data_CeMg6B
_symmetry_space_group_name_H-M 'A m m 2'
_symmetry_Int_Tables_number 38
_cell_length_a 4.3225
_cell_length_b 7.9935
_cell_length_c 10.1680
_cell_angle_alpha 90.00
_cell_angle_beta 90.00
_cell_angle_gamma 90.00
loop_
_symmetry_equiv_pos_as_xyz
'x,y,z'
'-x,-y,z'
'-x,y,z'
'x,-y,z'
'x,y+1/2,z+1/2'
'-x,-y+1/2,z+1/2'
'-x,y+1/2,z+1/2'
'x,-y+1/2,z+1/2'
loop_
_atom_site_label
_atom_site_type_symbol
_atom_site_fract_x
_atom_site_fract_y
_atom_site_fract_z
Ce1 Ce 0.0000 0.0000 0.0000
Mg1 Mg 0.0000 0.0000 0.4316
Mg2 Mg 0.0000 0.1861 0.7303
Mg3 Mg 0.5000 0.0000 0.2331
Mg4 Mg 0.5000 0.2228 0.4944
B1 B 0.5000 0.0000 0.8633
# Offset from the most stable computed form: 0.00 eV/f.u.
# Electronic total energy: -2.56 eV per atom
# Density: 2.8 g/cm3
# ΔE_f: 212 meV/atom

=====

# CeMg6BO8, relaxed, DFT GGA-PBE
data_CeMg6BO8
_symmetry_space_group_name_H-M 'P 4/m m m'
_symmetry_Int_Tables_number 123
_symmetry_space_group_name_Hall '-P 4 2'
_cell_length_a 4.3878
_cell_length_b 4.3878
_cell_length_c 9.2875
_cell_angle_alpha 90.00
_cell_angle_beta 90.00
_cell_angle_gamma 90.00
loop_
_atom_site_label
_atom_site_type_symbol
_atom_site_fract_x
_atom_site_fract_y
_atom_site_fract_z
Ce1 Ce 0.0000 0.0000 0.0000
Mg1 Mg 0.0000 0.0000 0.5000
Mg2 Mg 0.0000 0.5000 0.2729
Mg3 Mg 0.5000 0.5000 0.5000
B1 B 0.5000 0.5000 0.0000
O1 O 0.0000 0.0000 0.2674
O2 O 0.0000 0.5000 0.0000
O3 O 0.0000 0.5000 0.5000
O4 O 0.5000 0.5000 0.2814
# Offset from the most stable computed form: 0.00 eV/f.u.
# Electronic total energy: -6.03 eV per atom
# Total magnetization: 0.97 μB per formula unit
# Density: 3.9 g/cm3
# ΔE_f: -2511 meV/atom

=====

# CeMg6BO8, relaxed, DFT GGA-PBE
data_CeMg6BO8
_symmetry_space_group_name_H-M 'P 4/m m m'
_symmetry_Int_Tables_number 123
_symmetry_space_group_name_Hall '-P 4 2'
_cell_length_a 4.4640
_cell_length_b 4.4640
_cell_length_c 9.1469
_cell_angle_alpha 90.00
_cell_angle_beta 90.00
_cell_angle_gamma 90.00
loop_
_atom_site_label
_atom_site_type_symbol
_atom_site_fract_x
_atom_site_fract_y
_atom_site_fract_z
Ce1 Ce 0.0000 0.0000 0.0000
Mg1 Mg 0.0000 0.5000 0.2813
Mg2 Mg 0.5000 0.5000 0.0000
Mg3 Mg 0.5000 0.5000 0.5000
B1 B 0.0000 0.0000 0.5000
O1 O 0.0000 0.0000 0.2502
O2 O 0.0000 0.5000 0.0000
O3 O 0.0000 0.5000 0.5000
O4 O 0.5000 0.5000 0.2556
# Offset from the most stable computed form: 1.21 eV/f.u.
# Electronic total energy: -5.95 eV per atom
# Total magnetization: 0.75 μB per formula unit
# Density: 3.9 g/cm3
# ΔE_f: -2436 meV/atom

=====

# CeMgB5O10, relaxed, DFT GGA-PBE
data_CeMgB5O10
_symmetry_space_group_name_H-M 'P 1 21/c 1'
_symmetry_Int_Tables_number 14
_cell_length_a 8.8244
_cell_length_b 7.6783
_cell_length_c 12.7230
_cell_angle_alpha 90.00
_cell_angle_beta 131.33
_cell_angle_gamma 90.00
loop_
_symmetry_equiv_pos_as_xyz
'x,y,z'
'-x,-y,-z'
'-x,y+1/2,-z+1/2'
'x,-y+1/2,z+1/2'
loop_
_atom_site_label
_atom_site_type_symbol
_atom_site_fract_x
_atom_site_fract_y
_atom_site_fract_z
Ce1 Ce 0.0519 0.1816 0.2369
Mg1 Mg 0.4821 0.5899 0.8756
B1 B 0.0925 0.6733 0.6067
B2 B 0.1571 0.5988 0.0023
B3 B 0.2742 0.0338 0.0557
B4 B 0.3493 0.5798 0.2615
B5 B 0.4833 0.1849 0.9132
O1 O 0.0296 0.7250 0.9860
O2 O 0.0883 0.1075 0.9191
O3 O 0.1224 0.5458 0.8864
O4 O 0.2060 0.7146 0.2340
O5 O 0.2346 0.5270 0.6475
O6 O 0.3167 0.5347 0.1329
O7 O 0.3210 0.0837 0.8077
O8 O 0.3230 0.6231 0.5102
O9 O 0.4345 0.1539 0.4315
O10 O 0.4463 0.1534 0.1330
# Electronic total energy: -7.99 eV per atom
# Total magnetization: 1.00 μB per formula unit
# Density: 3.9 g/cm3
# ΔE_f: -3080 meV/atom

=====

# Ce4B2N5, relaxed, DFT GGA-PBE
data_Ce4B2N5
_symmetry_space_group_name_H-M 'C 1 2/m 1'
_symmetry_Int_Tables_number 12
_cell_length_a 12.1357
_cell_length_b 3.5465
_cell_length_c 8.9198
_cell_angle_alpha 90.00
_cell_angle_beta 129.45
_cell_angle_gamma 90.00
loop_
_symmetry_equiv_pos_as_xyz
'x,y,z'
'-x,-y,-z'
'-x,y,-z'
'x,-y,z'
'x+1/2,y+1/2,z'
'-x+1/2,-y+1/2,-z'
'-x+1/2,y+1/2,-z'
'x+1/2,-y+1/2,z'
loop_
_atom_site_label
_atom_site_type_symbol
_atom_site_fract_x
_atom_site_fract_y
_atom_site_fract_z
Ce1 Ce 0.0747 0.0000 0.3478
Ce2 Ce 0.1874 0.5000 0.1128
B1 B 0.0889 0.5000 0.6095
N1 N 0.0000 0.0000 0.0000
N2 N 0.1204 0.5000 0.8012
N3 N 0.2084 0.5000 0.6033
# Electronic total energy: -8.57 eV per atom
# Density: 7.3 g/cm3
# ΔE_f: -1570 meV/atom

=====

# Ce15B8N25, relaxed, DFT GGA-PBE
data_Ce15B8N25
_symmetry_space_group_name_H-M 'R -3 c'
_symmetry_Int_Tables_number 167
_symmetry_space_group_name_Hall '-R 3 2"c'
_cell_length_a 14.1337
_cell_length_b 14.1337
_cell_length_c 20.8812
_cell_angle_alpha 90.00
_cell_angle_beta 90.00
_cell_angle_gamma 120.00
loop_
_atom_site_label
_atom_site_type_symbol
_atom_site_fract_x
_atom_site_fract_y
_atom_site_fract_z
Ce1 Ce 0.0000 0.1487 0.2500
Ce2 Ce 0.0025 0.2624 0.8381
Ce3 Ce 0.0187 0.1606 0.0709
B1 B 0.0000 0.0000 0.1646
B2 B 0.0258 0.4644 0.6267
N1 N 0.0000 0.0000 0.0000
N2 N 0.0010 0.2062 0.5439
N3 N 0.0067 0.4807 0.4222
N4 N 0.0201 0.1115 0.8350
N5 N 0.0493 0.4588 0.8202
# Offset from the most stable computed form: 0.00 eV/f.u.
# Electronic total energy: -8.72 eV per atom
# Total magnetization: 2.48 μB per formula unit
# Density: 7.0 g/cm3
# ΔE_f: -1597 meV/atom

=====

# Ce15B8N25, relaxed, DFT GGA-PBE
data_Ce15B8N25
_symmetry_space_group_name_H-M 'R -3 c'
_symmetry_Int_Tables_number 167
_symmetry_space_group_name_Hall '-R 3 2"c'
_cell_length_a 14.0910
_cell_length_b 14.0910
_cell_length_c 22.4300
_cell_angle_alpha 90.00
_cell_angle_beta 90.00
_cell_angle_gamma 120.00
loop_
_atom_site_label
_atom_site_type_symbol
_atom_site_fract_x
_atom_site_fract_y
_atom_site_fract_z
Ce1 Ce 0.0000 0.1439 0.2500
Ce2 Ce 0.0096 0.2678 0.8404
Ce3 Ce 0.0212 0.1575 0.0636
B1 B 0.0000 0.0000 0.1580
B2 B 0.0266 0.4684 0.6201
N1 N 0.0000 0.0000 0.0000
N2 N 0.0041 0.2048 0.9516
N3 N 0.0085 0.4836 0.4271
N4 N 0.0436 0.4597 0.8263
N5 N 0.0825 0.1878 0.1584
# Offset from the most stable computed form: 23.18 eV/f.u.
# Electronic total energy: -8.24 eV per atom
# Total magnetization: 7.46 μB per formula unit
# Density: 6.6 g/cm3
# ΔE_f: -1114 meV/atom

=====

# Ce3Ni2B2N3, relaxed, DFT GGA-PBE
data_Ce3Ni2B2N3
_symmetry_space_group_name_H-M 'I 4/m m m'
_symmetry_Int_Tables_number 139
_symmetry_space_group_name_Hall '-I 4 2'
_cell_length_a 3.5766
_cell_length_b 3.5766
_cell_length_c 20.2206
_cell_angle_alpha 90.00
_cell_angle_beta 90.00
_cell_angle_gamma 90.00
loop_
_atom_site_label
_atom_site_type_symbol
_atom_site_fract_x
_atom_site_fract_y
_atom_site_fract_z
Ce1 Ce 0.0000 0.0000 0.0000
Ce2 Ce 0.0000 0.0000 0.3731
Ni1 Ni 0.0000 0.5000 0.2500
B1 B 0.0000 0.0000 0.1917
N1 N 0.0000 0.0000 0.1192
N2 N 0.0000 0.0000 0.5000
# Electronic total energy: -7.90 eV per atom
# Total magnetization: 0.39 μB per formula unit
# Density: 7.7 g/cm3
# ΔE_f: -1232 meV/atom